(1)
An optimized crystal structure of CaCrF5. Source: the Materials Project, functional PBE+U.

a b c (Å): 10.238 5.555 7.648
angles (deg): 70.16 90.00 90.00
Sites, in units of the cell vectors:
F1 0.395 0.122 0.811
F2 0.637 0.830 0.641
F3 0.618 0.388 0.056
F4 0.796 0.148 0.338
F5 0.296 0.852 0.162
F6 0.105 0.122 0.311
F7 0.118 0.612 0.444
F8 0.895 0.878 0.689
F9 0.388 0.644 0.494
F10 0.204 0.852 0.662
F11 0.112 0.644 0.994
F12 0.704 0.148 0.838
F13 0.882 0.388 0.556
F14 0.363 0.170 0.359
F15 0.605 0.878 0.189
F16 0.888 0.356 0.006
F17 0.612 0.356 0.506
F18 0.382 0.612 0.944
F19 0.137 0.170 0.859
F20 0.863 0.830 0.141
Cr1 0.246 0.892 0.401
Cr2 0.754 0.108 0.599
Cr3 0.254 0.892 0.901
Cr4 0.746 0.108 0.099
Ca1 0.519 0.472 0.754
Ca2 0.019 0.528 0.746
Ca3 0.981 0.472 0.254
Ca4 0.481 0.528 0.246

Values from the calculation:
Space group: P2_1/c (14)
Relative energy among the computed polymorphs, meV/atom: 3.7
Mass density, g/cm³: 3.04

***

(2)
An optimized crystal structure of Sr2La3Fe4CoO15. Source: the Materials Project, functional PBE+U.

a b c (Å): 11.698 11.698 11.698
angles (deg): 27.25 27.25 27.25
Sites, in units of the cell vectors:
Fe1 0.001 0.001 0.001
Fe2 0.600 0.600 0.600
Fe3 0.198 0.198 0.198
Fe4 0.402 0.402 0.402
La1 0.102 0.102 0.102
La2 0.301 0.301 0.301
La3 0.897 0.897 0.897
Sr1 0.702 0.702 0.702
Sr2 0.498 0.498 0.498
O1 0.506 0.997 0.997
O2 0.095 0.603 0.603
O3 0.399 0.907 0.399
O4 0.603 0.603 0.095
O5 0.997 0.506 0.997
O6 0.698 0.200 0.200
O7 0.399 0.399 0.907
O8 0.200 0.200 0.698
O9 0.997 0.997 0.506
O10 0.802 0.802 0.293
O11 0.293 0.802 0.802
O12 0.802 0.293 0.802
O13 0.907 0.399 0.399
O14 0.603 0.095 0.603
O15 0.200 0.698 0.200
Co1 0.800 0.800 0.800

Values from the calculation:
Total magnetization, μB/f.u.: 18.000
Space group: R3m (160)
Mass density, g/cm³: 6.25

***

(3)
An optimized crystal structure of LiTiV3O8. Source: the Materials Project, functional PBE+U.

a b c (Å): 5.916 5.938 6.104
angles (deg): 91.21 118.92 118.55
Sites, in units of the cell vectors:
O1 0.027 0.764 0.801
O2 0.537 0.287 0.799
O3 0.543 0.763 0.800
O4 0.969 0.728 0.195
O5 0.463 0.713 0.201
O6 0.031 0.272 0.805
O7 0.973 0.236 0.199
O8 0.457 0.237 0.200
Li1 0.500 0.500 0.500
V1 0.000 0.500 0.000
V2 0.500 0.500 0.000
V3 0.500 0.000 0.000
Ti1 0.000 0.000 0.000

Values from the calculation:
Total magnetization, μB/f.u.: 4.000
Space group: P-1 (2)
Relative energy among the computed polymorphs, meV/atom: 0.0
Mass density, g/cm³: 3.58

***

no.,DFT formation energy (eV/atom)
1,-3.558
2,-2.520
3,-2.635